Na2Hf2Si3Sn2S3O24: optimized geometry, GGA-PBE.

Output
- Space-group type: P1
- Total magnetic moment: 0.00 μB/atom
- Energy: -766.2 eV for the cell shown
- Formation energy: -2.61 eV/atom
- ρ: 3.8 g/cm³
- Total energy after the MP2020 corrections: -7.552 eV per atom

Cell: 8.8893 8.9252 23.2491 Å, 88.94 89.41 60.14°
Closest atoms and distances in Å follow each position.
Sites, in units of the cell vectors:
Na1 0.0000 0.0000 0.0000  5 O 2.43-2.70
Na2 0.0155 0.9747 0.5061  3 O 2.43-2.57
Na3 0.3314 0.3420 0.3375  5 O 2.41-2.67
Na4 0.3661 0.3078 0.8267  2 O 2.32-2.38
Na5 0.6663 0.6669 0.6654  5 O 2.50-2.72
Na6 0.6826 0.6430 0.1731  3 O 2.42-2.65
Hf1 0.0166 0.9956 0.6466  6 O 2.01-2.16
Hf2 0.0186 0.0051 0.1519  4 O 1.91-2.12
Hf3 0.3501 0.3423 0.1928  5 O 1.93-2.15
Hf4 0.3739 0.3129 0.9799  4 O 1.91-2.12
Hf5 0.6724 0.6739 0.8091  4 O 1.92-2.09
Hf6 0.6891 0.6594 0.0204  6 O 1.96-2.17
Si1 0.0177 0.2828 0.2542  4 O 1.63-1.65
Si2 0.2974 0.0053 0.7506  4 O 1.60-1.67
Si3 0.3136 0.7075 0.2530  4 O 1.62-1.65
Si4 0.3512 0.6191 0.5847  4 O 1.62-1.66
Si5 0.6415 0.0380 0.5827  4 O 1.63-1.65
Si6 0.6487 0.3233 0.0854  4 O 1.62-1.65
Si7 0.6962 0.9464 0.9161  4 O 1.61-1.67
Si8 0.7255 0.2881 0.7509  4 O 1.61-1.65
Si9 0.9770 0.6575 0.4182  4 O 1.62-1.67
Sn1 0.0053 0.0021 0.8483  4 O 1.93-2.15
Sn2 0.0293 0.9800 0.3543  4 O 1.96-2.15
Sn3 0.3471 0.3428 0.4861  4 O 1.94-2.12
Sn4 0.3781 0.3106 0.6871  4 O 1.95-2.04
Sn5 0.6832 0.6725 0.5244  5 O 1.96-2.16
Sn6 0.6959 0.6470 0.3153  5 O 1.97-2.20
S1 0.0232 0.6990 0.7516  4 O 1.46-1.50
S2 0.0620 0.3276 0.5853  4 O 1.47-1.49
S3 0.0632 0.6160 0.0840  4 O 1.47-1.50
S4 0.3533 0.0363 0.0851  4 O 1.46-1.50
S5 0.3921 0.6637 0.9185  4 O 1.47-1.50
S6 0.3943 0.9532 0.4176  4 O 1.48-1.50
S7 0.6870 0.3649 0.4188  4 O 1.47-1.50
S8 0.7273 0.9930 0.2521  4 O 1.47-1.49
S9 0.9766 0.3691 0.9188  4 O 1.46-1.51
O1 0.0439 0.1723 0.5907  1 S 1.48
O2 0.0440 0.7890 0.0901  1 S 1.48
O3 0.0446 0.1666 0.3120  1 Si 1.63
O4 0.0537 0.7715 0.8052  1 S 1.50
O5 0.1393 0.3567 0.6364  1 S 1.47
O6 0.1396 0.5081 0.1365  1 S 1.48
O7 0.1489 0.3554 0.9280  1 S 1.49
O8 0.1650 0.2979 0.5314  1 S 1.49
O9 0.1674 0.5328 0.0324  1 S 1.47
O10 0.1713 0.4805 0.4232  1 Si 1.66
O11 0.1738 0.5258 0.7459  1 S 1.46
O12 0.1861 0.8124 0.5918  1 Si 1.62
O13 0.1927 0.2958 0.2433  1 Si 1.63
O14 0.1927 0.7789 0.3096  1 Si 1.62
O15 0.1958 0.0230 0.8131  1 Si 1.67
O16 0.1976 0.0149 0.0894  1 S 1.49
O17 0.2126 0.9662 0.6966  1 Si 1.60
O18 0.2168 0.9724 0.4138  1 S 1.50
O19 0.2201 0.8197 0.9142  1 S 1.47
O20 0.2216 0.8201 0.1944  1 Si 1.64
O21 0.3091 0.5482 0.5261  1 Si 1.63
O22 0.3112 0.1814 0.7460  1 Si 1.64
O23 0.3249 0.1448 0.0323  1 S 1.49
O24 0.3374 0.5130 0.2455  1 Si 1.65
O25 0.3686 0.5098 0.9268  1 S 1.50
O26 0.3780 0.1140 0.1361  1 S 1.46
O27 0.3780 0.1257 0.4224  1 S 1.48
O28 0.3796 0.5016 0.6424  1 Si 1.63
O29 0.4698 0.8433 0.4696  1 S 1.48
O30 0.4790 0.6821 0.9705  1 S 1.50
O31 0.4934 0.8341 0.7584  1 Si 1.66
O32 0.4988 0.8730 0.3648  1 S 1.49
O33 0.5013 0.6309 0.8672  1 S 1.47
O34 0.5035 0.6943 0.2598  1 Si 1.64
O35 0.5089 0.8615 0.0771  1 S 1.50
O36 0.5198 0.1394 0.9246  1 Si 1.67
O37 0.5216 0.1096 0.6399  1 Si 1.63
O38 0.5251 0.3488 0.1405  1 Si 1.62
O39 0.5291 0.3158 0.7492  1 Si 1.64
O40 0.5304 0.3445 0.4221  1 S 1.49
O41 0.5347 0.6233 0.5767  1 Si 1.66
O42 0.5508 0.3022 0.0286  1 Si 1.65
O43 0.5525 0.1463 0.2436  1 S 1.48
O44 0.5539 0.1515 0.5233  1 Si 1.65
O45 0.6533 0.4731 0.3651  1 S 1.50
O46 0.6660 0.4975 0.0766  1 Si 1.65
O47 0.6655 0.8430 0.5803  1 Si 1.65
O48 0.6661 0.8522 0.8627  1 Si 1.61
O49 0.7089 0.8379 0.2570  1 S 1.48
O50 0.7117 0.4454 0.4695  1 S 1.47
O51 0.7144 0.4751 0.7612  1 Si 1.64
O52 0.7150 0.8334 0.9753  1 Si 1.65
O53 0.7935 0.1739 0.8114  1 Si 1.65
O54 0.7992 0.0253 0.3040  1 S 1.47
O55 0.8306 0.0225 0.5894  1 Si 1.63
O56 0.8361 0.9668 0.2000  1 S 1.49
O57 0.8393 0.1486 0.0898  1 Si 1.64
O58 0.8452 0.1920 0.4123  1 S 1.49
O59 0.8449 0.1928 0.6960  1 Si 1.61
O60 0.8475 0.4766 0.2559  1 Si 1.64
O61 0.8568 0.6861 0.4747  1 Si 1.62
O62 0.8642 0.6840 0.7595  1 S 1.49
O63 0.8662 0.4524 0.9713  1 S 1.51
O64 0.8729 0.9638 0.9131  1 Si 1.65
O65 0.8862 0.4817 0.5789  1 S 1.49
O66 0.8864 0.6339 0.0785  1 S 1.50
O67 0.8909 0.6303 0.3598  1 Si 1.65
O68 0.8966 0.4735 0.8672  1 S 1.46
O69 0.9852 0.1960 0.1969  1 Si 1.65
O70 0.9904 0.8372 0.4134  1 Si 1.67
O71 0.9910 0.8098 0.7009  1 S 1.46
O72 0.9971 0.1940 0.9171  1 S 1.48